{
  "formula": "NbGeP3O12",
  "functional": "PBE",
  "state": "optimized geometry",
  "cell": [[8.5878, 0.0000, 0.0000], [-4.2939, 7.4373, 0.0000], [0.0000, 0.0000, 21.9908]],
  "species": ["O", "O", "O", "O", "O", "O", "O", "O", "O", "O", "O", "O", "O", "O", "O", "O", "O", "O", "O", "O", "O", "O", "O", "O", "O", "O", "O", "O", "O", "O", "O", "O", "O", "O", "O", "O", "O", "O", "O", "O", "O", "O", "O", "O", "O", "O", "O", "O", "O", "O", "O", "O", "O", "O", "O", "O", "O", "O", "O", "O", "O", "O", "O", "O", "O", "O", "O", "O", "O", "O", "O", "O", "P", "P", "P", "P", "P", "P", "P", "P", "P", "P", "P", "P", "P", "P", "P", "P", "P", "P", "Ge", "Ge", "Ge", "Ge", "Ge", "Ge", "Nb", "Nb", "Nb", "Nb", "Nb", "Nb"],
  "fractional_positions": [[0.5046, 0.8589, 0.3608], [0.3737, 0.5177, 0.0745], [0.1489, 0.4599, 0.2591], [0.3737, 0.8560, 0.5745], [0.1411, 0.4954, 0.8608], [0.2081, 0.1554, 0.8078], [0.2081, 0.0526, 0.3078], [0.5414, 0.8221, 0.4745], [0.2807, 0.4586, 0.4745], [0.1713, 0.1923, 0.6941], [0.4773, 0.1843, 0.2412], [0.2068, 0.1844, 0.0924], [0.1440, 0.6263, 0.0745], [0.0210, 0.8287, 0.6941], [0.6443, 0.5177, 0.9257], [0.5401, 0.8511, 0.7591], [0.1490, 0.9597, 0.9078], [0.6443, 0.1266, 0.4257], [0.3543, 0.4954, 0.3608], [0.8156, 0.0224, 0.0924], [0.4823, 0.3557, 0.4257], [0.3543, 0.8589, 0.8608], [0.1490, 0.1893, 0.4078], [0.7070, 0.1843, 0.7412], [0.8107, 0.9597, 0.4078], [0.6876, 0.5256, 0.5274], [0.1489, 0.6891, 0.7591], [0.4773, 0.2930, 0.7412], [0.8156, 0.7932, 0.5924], [0.4823, 0.1266, 0.9257], [0.9474, 0.1554, 0.3078], [0.8446, 0.7919, 0.3078], [0.1440, 0.5177, 0.5745], [0.0210, 0.1923, 0.1941], [0.8734, 0.3557, 0.9257], [0.3109, 0.4599, 0.7591], [0.8077, 0.8287, 0.1941], [0.9474, 0.7919, 0.8078], [0.0403, 0.1893, 0.9078], [0.4744, 0.3124, 0.0274], [0.5112, 0.1253, 0.6411], [0.0403, 0.8510, 0.4078], [0.9776, 0.7932, 0.0924], [0.5046, 0.6457, 0.8608], [0.1779, 0.7193, 0.4745], [0.6140, 0.1253, 0.1411], [0.8077, 0.9790, 0.6941], [0.5414, 0.7193, 0.9745], [0.6140, 0.4888, 0.6411], [0.8380, 0.5256, 0.0274], [0.5112, 0.3860, 0.1411], [0.8107, 0.8510, 0.9078], [0.1779, 0.4586, 0.9745], [0.9776, 0.1844, 0.5924], [0.8157, 0.2930, 0.2412], [0.6876, 0.1620, 0.0274], [0.8157, 0.5227, 0.7412], [0.2068, 0.0224, 0.5924], [0.1411, 0.6457, 0.3608], [0.7070, 0.5227, 0.2412], [0.5401, 0.6891, 0.2591], [0.1713, 0.9790, 0.1941], [0.2807, 0.8221, 0.9745], [0.8380, 0.3124, 0.5274], [0.4823, 0.6263, 0.5745], [0.8446, 0.0526, 0.8078], [0.4823, 0.8560, 0.0745], [0.8747, 0.3860, 0.6411], [0.8747, 0.4888, 0.1411], [0.4744, 0.1620, 0.5274], [0.8734, 0.5177, 0.4257], [0.3109, 0.8511, 0.2591], [0.9576, 0.3542, 0.5838], [0.7300, 0.7091, 0.2504], [0.6458, 0.0424, 0.0838], [0.9791, 0.2700, 0.2504], [0.0633, 0.6876, 0.4171], [0.2909, 0.2700, 0.7504], [0.6242, 0.6876, 0.9171], [0.9791, 0.7091, 0.7504], [0.2909, 0.0209, 0.2504], [0.6242, 0.9367, 0.4171], [0.3967, 0.0424, 0.5838], [0.3967, 0.3542, 0.0838], [0.9576, 0.6033, 0.0838], [0.3124, 0.9367, 0.9171], [0.3124, 0.3758, 0.4171], [0.7300, 0.0209, 0.7504], [0.6458, 0.6033, 0.5838], [0.0633, 0.3758, 0.9171], [0.3333, 0.6667, 0.0216], [0.3333, 0.6667, 0.5216], [0.0000, 0.0000, 0.8549], [0.6667, 0.3333, 0.6883], [0.6667, 0.3333, 0.1883], [0.0000, 0.0000, 0.3549], [0.6667, 0.3333, 0.9707], [0.0000, 0.0000, 0.6373], [0.3333, 0.6667, 0.3040], [0.6667, 0.3333, 0.4707], [0.3333, 0.6667, 0.8040], [0.0000, 0.0000, 0.1373]],
  "dft_energy_ev_per_cell": -764.4
}

***

{
  "formula": "CuBr2",
  "functional": "PBE",
  "state": "optimized geometry",
  "cell": [[-3.0560, 2.3690, 2.8961], [2.3113, -1.7452, 3.8666], [2.5643, 3.3393, -0.0257]],
  "species": ["Br", "Br", "Cu"],
  "fractional_positions": [[0.0000, 0.5000, 0.0000], [0.5000, 0.0000, 0.0000], [0.0000, 0.0000, 0.0000]],
  "dft_energy_ev_per_cell": -7.7
}

***

{
  "formula": "CaAl2H8",
  "functional": "PBE",
  "state": "optimized geometry",
  "cell": [[-0.8498, -2.5029, -2.4440], [5.2909, 5.2507, -7.2169], [4.7870, -7.2115, 5.7207]],
  "species": ["H", "H", "H", "H", "H", "H", "H", "H", "H", "H", "H", "H", "H", "H", "H", "H", "H", "H", "H", "H", "H", "H", "H", "H", "Al", "Al", "Al", "Al", "Al", "Al", "Ca", "Ca", "Ca"],
  "fractional_positions": [[0.5000, 0.8405, 0.2716], [0.5000, 0.7284, 0.5688], [0.5000, 0.5688, 0.7284], [0.0000, 0.5457, 0.3794], [0.0000, 0.1664, 0.6206], [0.0000, 0.0000, 0.2708], [0.5000, 0.5914, 0.0000], [0.0000, 0.8336, 0.4543], [0.5000, 0.1595, 0.4312], [0.0000, 0.2708, 0.0000], [0.0000, 0.4543, 0.8336], [0.0000, 0.2328, 0.2328], [0.5000, 0.1240, 0.0000], [0.5000, 0.0000, 0.5914], [0.0000, 0.7292, 0.7292], [0.5000, 0.4086, 0.4086], [0.0000, 0.3794, 0.5457], [0.0000, 0.7672, 0.0000], [0.0000, 0.0000, 0.7672], [0.5000, 0.4312, 0.1595], [0.5000, 0.8760, 0.8760], [0.5000, 0.2716, 0.8405], [0.5000, 0.0000, 0.1240], [0.0000, 0.6206, 0.1664], [0.5000, 0.7182, 0.7182], [0.5000, 0.2818, 0.0000], [0.0000, 0.3890, 0.3890], [0.0000, 0.0000, 0.6110], [0.0000, 0.6110, 0.0000], [0.5000, 0.0000, 0.2818], [0.5000, 0.6667, 0.3333], [0.0000, 0.0000, 0.0000], [0.5000, 0.3333, 0.6667]],
  "de_polymorph_ev_per_atom": 0.010,
  "dft_energy_ev_per_cell": -114.8
}

***

{
  "formula": "V9InS12",
  "functional": "PBE",
  "state": "optimized geometry",
  "cell": [[4.1269, 8.4581, -2.4833], [-4.1273, 0.8304, 8.7757], [6.7637, -6.9958, 0.2192]],
  "species": ["V", "V", "V", "V", "V", "V", "V", "V", "V", "V", "V", "V", "V", "V", "V", "V", "V", "V", "S", "S", "S", "S", "S", "S", "S", "S", "S", "S", "S", "S", "S", "S", "S", "S", "S", "S", "S", "S", "S", "S", "S", "S", "In", "In"],
  "fractional_positions": [[0.6701, 0.7852, 0.2957], [0.7043, 0.3299, 0.2148], [0.3353, 0.4506, 0.9614], [0.6287, 0.0044, 0.1193], [0.0386, 0.6647, 0.5494], [0.9956, 0.8807, 0.3713], [0.7852, 0.2957, 0.6701], [0.1193, 0.6287, 0.0044], [0.2148, 0.7043, 0.3299], [0.8807, 0.3713, 0.9956], [0.6647, 0.5494, 0.0386], [0.0044, 0.1193, 0.6287], [0.3299, 0.2148, 0.7043], [0.3713, 0.9956, 0.8807], [0.4506, 0.9614, 0.3353], [0.2957, 0.6701, 0.7852], [0.5494, 0.0386, 0.6647], [0.9614, 0.3353, 0.4506], [0.8704, 0.2165, 0.1637], [0.4164, 0.7496, 0.0831], [0.2165, 0.1637, 0.8704], [0.1637, 0.8704, 0.2165], [0.8828, 0.8309, 0.5380], [0.5491, 0.4963, 0.2024], [0.5380, 0.8828, 0.8309], [0.1296, 0.7835, 0.8363], [0.4509, 0.5037, 0.7976], [0.9169, 0.5836, 0.2504], [0.1172, 0.1691, 0.4620], [0.7976, 0.4509, 0.5037], [0.7496, 0.0831, 0.4164], [0.2504, 0.9169, 0.5836], [0.4620, 0.1172, 0.1691], [0.2024, 0.5491, 0.4963], [0.7835, 0.8363, 0.1296], [0.4963, 0.2024, 0.5491], [0.1691, 0.4620, 0.1172], [0.5836, 0.2504, 0.9169], [0.0831, 0.4164, 0.7496], [0.5037, 0.7976, 0.4509], [0.8363, 0.1296, 0.7835], [0.8309, 0.5380, 0.8828], [0.0000, 0.0000, 0.0000], [0.5000, 0.5000, 0.5000]],
  "dft_energy_ev_per_cell": -310.5
}

***

{
  "formula": "YTmHg2",
  "functional": "PBE",
  "state": "optimized geometry",
  "cell": [[-0.5671, -2.9515, 4.2969], [-3.3088, -4.0679, -0.0313], [1.8674, -4.8993, 0.0808]],
  "species": ["Hg", "Hg", "Y", "Tm"],
  "fractional_positions": [[0.7500, 0.7500, 0.7500], [0.2500, 0.2500, 0.2500], [0.0000, 0.0000, 0.0000], [0.5000, 0.5000, 0.5000]],
  "dft_energy_ev_per_cell": -13.5
}

***

{
  "formula": "Sr2Bi2Se3O2",
  "functional": "PBE",
  "state": "optimized geometry",
  "cell": [[-0.4759, -3.6461, -1.8946], [-8.5014, 3.0010, -3.6400], [7.1959, 3.4505, -8.4478]],
  "species": ["Bi", "Bi", "Bi", "Bi", "O", "O", "O", "O", "Se", "Se", "Se", "Se", "Se", "Se", "Sr", "Sr", "Sr", "Sr"],
  "fractional_positions": [[0.4980, 0.5535, 0.1907], [0.0020, 0.0535, 0.6907], [0.5020, 0.4465, 0.8093], [0.9980, 0.9465, 0.3093], [0.0037, 0.8336, 0.6873], [0.9963, 0.1664, 0.3127], [0.4963, 0.3336, 0.1873], [0.5037, 0.6664, 0.8127], [0.9996, 0.4127, 0.6296], [0.0004, 0.5873, 0.3704], [0.5004, 0.9127, 0.1296], [0.0000, 0.5000, 0.0000], [0.5000, 0.0000, 0.5000], [0.4996, 0.0873, 0.8704], [0.5084, 0.7111, 0.6072], [0.0084, 0.7889, 0.8928], [0.4916, 0.2889, 0.3928], [0.9916, 0.2111, 0.1072]],
  "dft_energy_ev_per_cell": -90.5
}

***

{
  "formula": "Rb3Pr3P4S16",
  "functional": "PBE",
  "state": "optimized geometry",
  "cell": [[-3.1332, -8.6935, 1.8875], [9.4436, -4.9516, 1.5748], [0.1535, 2.5231, 14.6019]],
  "species": ["S", "S", "S", "S", "S", "S", "S", "S", "S", "S", "S", "S", "S", "S", "S", "S", "S", "S", "S", "S", "S", "S", "S", "S", "S", "S", "S", "S", "S", "S", "S", "S", "P", "P", "P", "P", "P", "P", "P", "P", "Rb", "Rb", "Rb", "Rb", "Rb", "Rb", "Pr", "Pr", "Pr", "Pr", "Pr", "Pr"],
  "fractional_positions": [[0.0558, 0.2106, 0.5961], [0.6266, 0.5968, 0.4172], [0.3734, 0.4032, 0.5828], [0.0549, 0.4001, 0.9045], [0.1071, 0.0604, 0.7988], [0.9451, 0.5999, 0.0955], [0.2201, 0.9168, 0.2994], [0.7438, 0.2620, 0.8832], [0.1077, 0.7039, 0.8674], [0.2087, 0.3756, 0.1677], [0.9442, 0.7894, 0.4039], [0.8923, 0.2961, 0.1326], [0.7799, 0.0832, 0.7006], [0.3446, 0.7538, 0.5298], [0.0757, 0.5249, 0.6929], [0.9243, 0.4751, 0.3071], [0.0508, 0.9029, 0.6141], [0.5638, 0.8695, 0.1245], [0.6776, 0.7544, 0.5962], [0.5797, 0.5625, 0.1707], [0.6554, 0.2462, 0.4702], [0.2562, 0.7380, 0.1168], [0.8929, 0.9396, 0.2012], [0.4362, 0.1305, 0.8755], [0.9492, 0.0971, 0.3859], [0.7913, 0.6244, 0.8323], [0.4972, 0.3251, 0.0381], [0.3224, 0.2456, 0.4038], [0.4203, 0.4375, 0.8293], [0.5582, 0.9119, 0.3978], [0.5028, 0.6749, 0.9619], [0.4418, 0.0881, 0.6022], [0.4723, 0.7176, 0.0963], [0.0033, 0.9344, 0.3185], [0.9918, 0.4337, 0.1801], [0.4477, 0.2490, 0.5139], [0.9967, 0.0656, 0.6815], [0.5277, 0.2824, 0.9037], [0.0082, 0.5663, 0.8199], [0.5523, 0.7510, 0.4861], [0.6185, 0.1982, 0.2547], [0.7915, 0.9214, 0.9151], [0.7356, 0.4237, 0.6462], [0.2085, 0.0786, 0.0849], [0.2644, 0.5763, 0.3538], [0.3815, 0.8018, 0.7453], [0.2446, 0.2784, 0.7370], [0.2531, 0.5305, 0.0029], [0.7661, 0.9848, 0.5248], [0.7469, 0.4695, 0.9971], [0.2339, 0.0152, 0.4752], [0.7554, 0.7216, 0.2630]],
  "dft_energy_ev_per_cell": -266.6
}

***

{
  "formula": "Cs4SrSn3Se9",
  "functional": "PBE",
  "state": "optimized geometry",
  "cell": [[-1.7557, 1.8939, -8.9119], [-0.5483, -9.1931, 1.1299], [-6.6748, 3.9121, 5.1219]],
  "species": ["Sn", "Sn", "Sn", "Cs", "Cs", "Cs", "Cs", "Se", "Se", "Se", "Se", "Se", "Se", "Se", "Se", "Se", "Sr"],
  "fractional_positions": [[0.7893, 0.3348, 0.2044], [0.2044, 0.7893, 0.3348], [0.3348, 0.2044, 0.7893], [0.8569, 0.8569, 0.8569], [0.6129, 0.7253, 0.1863], [0.7253, 0.1863, 0.6129], [0.1863, 0.6129, 0.7253], [0.9197, 0.5426, 0.0896], [0.7087, 0.4823, 0.4225], [0.5426, 0.0896, 0.9197], [0.3035, 0.9523, 0.1832], [0.4823, 0.4225, 0.7087], [0.1832, 0.3035, 0.9523], [0.4225, 0.7087, 0.4823], [0.0896, 0.9197, 0.5426], [0.9523, 0.1832, 0.3035], [0.3159, 0.3159, 0.3159]],
  "dft_energy_ev_per_cell": -65.1
}

***

{
  "formula": "Ba2GdTaO6",
  "functional": "PBE",
  "state": "optimized geometry",
  "cell": [[0.0000, 4.2986, 4.2986], [4.2986, 0.0000, 4.2986], [4.2986, 4.2986, 0.0000]],
  "species": ["Ta", "O", "O", "O", "O", "O", "O", "Ba", "Ba", "Gd"],
  "fractional_positions": [[0.0000, 0.0000, 0.0000], [0.7659, 0.2341, 0.7659], [0.2341, 0.7659, 0.2341], [0.7659, 0.7659, 0.2341], [0.7659, 0.2341, 0.2341], [0.2341, 0.7659, 0.7659], [0.2341, 0.2341, 0.7659], [0.2500, 0.2500, 0.2500], [0.7500, 0.7500, 0.7500], [0.5000, 0.5000, 0.5000]],
  "dft_energy_ev_per_cell": -90.7
}